A plane-wave DFT calculation with PBE was carried out for HfSb4Mo after structural relaxation.

Properties
Symmetry ... Cm (8)
Formation energy ... -211.0 meV per atom
Final energy ... -38.6 eV for the cell shown

The structure in POSCAR format:
```
HfSb4Mo
1.0
2.484 2.015 -1.823
-3.847 -1.803 -3.517
-3.238 6.894 -0.508
Hf Sb Mo
1 4 1
Direct
0.038 0.886 0.811 Hf
0.619 0.762 0.523 Sb
0.391 0.235 0.453 Sb
0.701 0.304 0.902 Sb
0.290 0.700 0.120 Sb
0.961 0.114 0.191 Mo
```


A plane-wave DFT calculation with PBE was carried out for RbFeBr4 after structural relaxation.

Properties
Symmetry ... Pnma (62)
Formation energy ... -1332.8 meV per atom
Final energy ... -87.4 eV for the cell shown

The structure in POSCAR format:
```
RbFeBr4
1.0
-5.606 -4.699 -2.539
4.332 -7.779 4.829
-6.597 2.498 9.943
Rb Fe Br
4 4 16
Direct
0.250 0.660 0.184 Rb
0.750 0.340 0.816 Rb
0.750 0.160 0.316 Rb
0.250 0.840 0.684 Rb
0.250 0.192 0.063 Fe
0.750 0.808 0.937 Fe
0.750 0.692 0.437 Fe
0.250 0.308 0.563 Fe
0.250 0.404 0.388 Br
0.750 0.596 0.612 Br
0.750 0.904 0.112 Br
0.250 0.096 0.888 Br
0.250 0.031 0.202 Br
0.750 0.969 0.798 Br
0.750 0.531 0.298 Br
0.250 0.469 0.702 Br
0.002 0.326 0.082 Br
0.998 0.674 0.918 Br
0.998 0.826 0.418 Br
0.502 0.674 0.918 Br
0.002 0.174 0.582 Br
0.498 0.326 0.082 Br
0.498 0.174 0.582 Br
0.502 0.826 0.418 Br
```


A plane-wave DFT calculation with PBE was carried out for LiCu2C2O7 after structural relaxation.

Properties
Symmetry ... P1 (1)
Energy relative to the lowest polymorph listed for this composition ... 0.009 eV per atom
Formation energy ... -1488.8 meV per atom
Final energy ... -152.5 eV for the cell shown

The structure in POSCAR format:
```
LiCu2C2O7
1.0
4.812 0.000 0.000
2.396 4.194 0.000
0.096 0.047 15.253
Li Cu C O
2 4 4 14
Direct
0.002 0.996 0.499 Li
0.000 0.004 0.000 Li
0.331 0.334 0.865 Cu
0.332 0.337 0.635 Cu
0.664 0.668 0.366 Cu
0.671 0.660 0.136 Cu
0.664 0.670 0.589 C
0.665 0.669 0.911 C
0.333 0.332 0.411 C
0.334 0.330 0.089 C
0.388 0.926 0.913 O
0.078 0.609 0.413 O
0.386 0.689 0.586 O
0.316 0.606 0.091 O
0.685 0.927 0.587 O
0.074 0.313 0.086 O
0.677 0.679 0.251 O
0.348 0.309 0.750 O
0.923 0.691 0.908 O
0.309 0.076 0.412 O
0.684 0.393 0.913 O
0.613 0.309 0.410 O
0.920 0.393 0.591 O
0.610 0.072 0.088 O
```